Record 1
Compound: Nd3Pa
Source: the Materials Project database
Functional: PBE
Structure: relaxed

Unit cell a=7.1290 b=7.1290 c=5.8565 alpha=90.00 beta=90.00 gamma=120.00
Closest atoms and distances in Å follow each position.
Positions (direct):
Nd (0.8304, 0.1696, 0.7500)  8 Nd 3.50-3.63, 4 Pa 3.56
Nd (0.1696, 0.8304, 0.2500)  8 Nd 3.50-3.63, 4 Pa 3.56
Nd (0.3392, 0.1696, 0.7500)  8 Nd 3.50-3.63, 4 Pa 3.56
Nd (0.8304, 0.6608, 0.7500)  8 Nd 3.50-3.63, 4 Pa 3.56
Pa (0.6667, 0.3333, 0.2500)  12 Nd 3.56
Nd (0.1696, 0.3392, 0.2500)  8 Nd 3.50-3.63, 4 Pa 3.56
Pa (0.3333, 0.6667, 0.7500)  12 Nd 3.56
Nd (0.6608, 0.8304, 0.2500)  8 Nd 3.50-3.63, 4 Pa 3.56

- Excess energy over the best structure of this formula in the dataset: 0.05 eV/f.u.
- Symmetry: No. 194
- E_tot: -5.647 eV per atom

Record 2
Compound: Nd3Pa
Source: the Materials Project database
Functional: PBE
Structure: relaxed

Unit cell a=6.1978 b=6.1978 c=6.1978 alpha=132.42 beta=132.42 gamma=69.56
Closest atoms and distances in Å follow each position.
Positions (direct):
Pa (0.0000, 0.0000, 0.0000)  12 Nd 3.54-3.57
Nd (0.7500, 0.2500, 0.5000)  8 Nd 3.54-3.57, 4 Pa 3.57
Nd (0.5000, 0.5000, 0.0000)  4 Pa 3.54, 8 Nd 3.57
Nd (0.2500, 0.7500, 0.5000)  8 Nd 3.54-3.57, 4 Pa 3.57

- Excess energy over the best structure of this formula in the dataset: 0.00 eV/f.u.
- Symmetry: No. 139
- E_tot: -5.659 eV per atom

Record 3
Compound: Nd5Pb4
Source: the Materials Project database
Functional: PBE
Structure: relaxed

Unit cell a=8.4257 b=8.5756 c=16.2166 alpha=90.00 beta=90.00 gamma=90.00
Closest atoms and distances in Å follow each position.
Positions (direct):
Nd (0.1251, 0.3394, 0.8810)  6 Pb 3.20-3.41
Nd (0.4703, 0.6793, 0.6008)  6 Pb 3.27-3.58
Pb (0.1625, 0.6478, 0.7500)  8 Nd 3.23-3.56, 1 Pb 3.23
Nd (0.9703, 0.8207, 0.8992)  6 Pb 3.27-3.58
Nd (0.5297, 0.3207, 0.3992)  6 Pb 3.27-3.58
Pb (0.0721, 0.8752, 0.2500)  1 Pb 3.23, 8 Nd 3.25-3.58
Nd (0.9703, 0.8207, 0.6008)  6 Pb 3.27-3.58
Nd (0.3749, 0.8394, 0.3810)  6 Pb 3.20-3.41
Pb (0.2827, 0.0321, 0.5433)  7 Nd 3.20-3.54
Nd (0.7068, 0.9976, 0.2500)  6 Pb 3.23-3.39
Pb (0.2173, 0.5321, 0.4567)  7 Nd 3.20-3.54
Pb (0.9279, 0.1248, 0.7500)  1 Pb 3.23, 8 Nd 3.25-3.58
Pb (0.5721, 0.6248, 0.2500)  1 Pb 3.23, 8 Nd 3.25-3.58
Nd (0.5297, 0.3207, 0.1008)  6 Pb 3.27-3.58
Pb (0.8375, 0.3522, 0.2500)  8 Nd 3.23-3.56, 1 Pb 3.23
Pb (0.7173, 0.9679, 0.4567)  7 Nd 3.20-3.54
Nd (0.7932, 0.4976, 0.7500)  6 Pb 3.23-3.39
Pb (0.2173, 0.5321, 0.0433)  7 Nd 3.20-3.54
Pb (0.3375, 0.1478, 0.2500)  8 Nd 3.23-3.56, 1 Pb 3.23
Nd (0.4703, 0.6793, 0.8992)  6 Pb 3.27-3.58
Nd (0.0297, 0.1793, 0.3992)  6 Pb 3.27-3.58
Pb (0.6625, 0.8522, 0.7500)  8 Nd 3.23-3.56, 1 Pb 3.23
Nd (0.3749, 0.8394, 0.1190)  6 Pb 3.20-3.41
Nd (0.6251, 0.1606, 0.8810)  6 Pb 3.20-3.41
Pb (0.7827, 0.4679, 0.9567)  7 Nd 3.20-3.54
Nd (0.6251, 0.1606, 0.6190)  6 Pb 3.20-3.41
Pb (0.4279, 0.3752, 0.7500)  1 Pb 3.23, 8 Nd 3.25-3.58
Nd (0.0297, 0.1793, 0.1008)  6 Pb 3.27-3.58
Pb (0.7173, 0.9679, 0.0433)  7 Nd 3.20-3.54
Pb (0.2827, 0.0321, 0.9567)  7 Nd 3.20-3.54
Nd (0.2068, 0.5024, 0.2500)  6 Pb 3.23-3.39
Nd (0.8749, 0.6606, 0.3810)  6 Pb 3.20-3.41
Pb (0.7827, 0.4679, 0.5433)  7 Nd 3.20-3.54
Nd (0.1251, 0.3394, 0.6190)  6 Pb 3.20-3.41
Nd (0.2932, 0.0024, 0.7500)  6 Pb 3.23-3.39
Nd (0.8749, 0.6606, 0.1190)  6 Pb 3.20-3.41

- Symmetry: No. 62
- E_tot: -4.874 eV per atom

Record 4
Compound: NdPb3
Source: the Materials Project database
Functional: PBE
Structure: relaxed

Unit cell a=4.9395 b=4.9395 c=4.9395 alpha=90.00 beta=90.00 gamma=90.00
Closest atoms and distances in Å follow each position.
Positions (direct):
Pb (0.0000, 0.5000, 0.5000)  8 Pb 3.49, 4 Nd 3.49
Pb (0.5000, 0.0000, 0.5000)  8 Pb 3.49, 4 Nd 3.49
Pb (0.5000, 0.5000, 0.0000)  8 Pb 3.49, 4 Nd 3.49
Nd (0.0000, 0.0000, 0.0000)  12 Pb 3.49

- Symmetry: No. 221
- E_tot: -4.355 eV per atom

Record 5
Compound: Nd2Pd2Pb
Source: the Materials Project database
Functional: PBE
Structure: relaxed

Unit cell a=3.7088 b=8.1705 c=8.1705 alpha=90.00 beta=90.00 gamma=90.00
Closest atoms and distances in Å follow each position.
Positions (direct):
Pd (0.0000, 0.1228, 0.3772)  1 Pd 2.84, 6 Nd 2.99-3.08
Nd (0.5000, 0.6738, 0.8262)  6 Pd 2.99-3.08
Nd (0.5000, 0.3262, 0.1738)  6 Pd 2.99-3.08
Pd (0.0000, 0.8772, 0.6228)  1 Pd 2.84, 6 Nd 2.99-3.08
Pd (0.0000, 0.3772, 0.8772)  1 Pd 2.84, 6 Nd 2.99-3.08
Pd (0.0000, 0.6228, 0.1228)  1 Pd 2.84, 6 Nd 2.99-3.08
Nd (0.5000, 0.1738, 0.6738)  6 Pd 2.99-3.08
Pb (0.0000, 0.0000, 0.0000)  4 Pd 3.24, 8 Nd 3.54
Nd (0.5000, 0.8262, 0.3262)  6 Pd 2.99-3.08
Pb (0.0000, 0.5000, 0.5000)  4 Pd 3.24, 8 Nd 3.54

- Symmetry: No. 127
- E_tot: -5.507 eV per atom

Record 6
Compound: NdPd2Pb
Source: the Materials Project database
Functional: PBE
Structure: relaxed

Unit cell a=4.9734 b=4.9734 c=4.9734 alpha=60.00 beta=60.00 gamma=60.00
Closest atoms and distances in Å follow each position.
Positions (direct):
Pd (0.2500, 0.2500, 0.2500)  4 Pb 3.05, 4 Nd 3.05
Nd (0.5000, 0.5000, 0.5000)  8 Pd 3.05
Pd (0.7500, 0.7500, 0.7500)  4 Pb 3.05, 4 Nd 3.05
Pb (0.0000, 0.0000, 0.0000)  8 Pd 3.05

- Symmetry: No. 225
- E_tot: -5.353 eV per atom

Energy of formation: 0.31 0.30 -0.58 -0.38 -0.79 -0.64 (eV per atom)